*w*
Material: Li2Ni3SnO8
Method: DFT, PBE with a Hubbard U
State: relaxed

Unit cell a=10.2312 b=5.8049 c=10.5036 alpha=90.00 beta=109.76 gamma=90.00
Space group C2/c (No. 15)
One atom of each set of equivalent atoms:
Li (0.1867, 0.2424, 0.3204) x8
Ni (0.0000, 0.0000, 0.0000) x4
Ni (0.0000, 0.5000, 0.0000) x4
Ni (0.2500, 0.2500, 0.0000) x4
Sn (0.0000, 0.2591, 0.7500) x4
O (0.1026, 0.2502, 0.1036) x8
O (0.1114, 0.2753, 0.6192) x8
O (0.1223, 0.4876, 0.8984) x8
O (0.1241, 0.0281, 0.8905) x8

Summary:
Spin magnetization ... 0.00 μB/cell

---

*x*
Material: Li2Ni3SnO8
Method: DFT, PBE with a Hubbard U
State: relaxed

Unit cell a=5.8406 b=5.8406 c=14.8032 alpha=90.00 beta=90.00 gamma=120.00
Space group R-3m (No. 166, hexagonal axes)
One atom of each set of equivalent atoms:
Li (0.0000, 0.0000, 0.1206) x6
Ni (0.0000, 0.5000, 0.0000) x9
Sn (0.0000, 0.0000, 0.5000) x3
O (0.0000, 0.0000, 0.2650) x6
O (0.0260, 0.5130, 0.2586) x18

Summary:
Spin magnetization ... 6.00 μB/cell

---

Q: Which of them is the most stable? A: *w*.

---

*w*
Material: Sr4MgMn4O10
Method: DFT, PBE with a Hubbard U
State: relaxed

Unit cell a=5.7369 b=5.7520 c=8.9293 alpha=72.19 beta=73.39 gamma=83.81
Space group P1 (No. 1)
One atom of each set of equivalent atoms:
Sr (0.0000, 0.0000, 0.0000) x1
Sr (0.1521, 0.1186, 0.5878) x1
Sr (0.5487, 0.5324, 0.9893) x1
Sr (0.7571, 0.7433, 0.5540) x1
Mg (0.4687, 0.5047, 0.4186) x1
Mn (0.1127, 0.5743, 0.7899) x1
Mn (0.4235, 0.9940, 0.2437) x1
Mn (0.6040, 0.1304, 0.7597) x1
Mn (0.9685, 0.4156, 0.2685) x1
O (0.2149, 0.7764, 0.4511) x1
O (0.3324, 0.3415, 0.2912) x1
O (0.3368, 0.8132, 0.7876) x1
O (0.3851, 0.3909, 0.6794) x1
O (0.4688, 0.0654, 0.0023) x1
O (0.7342, 0.7402, 0.2740) x1
O (0.7465, 0.2144, 0.4956) x1
O (0.8423, 0.8539, 0.7910) x1
O (0.8778, 0.3711, 0.7661) x1
O (0.9883, 0.4227, 0.0408) x1

Summary:
Spin magnetization ... 18.02 μB/cell

---

*x*
Material: Sr4MgMn4O10
Method: DFT, PBE with a Hubbard U
State: relaxed

Unit cell a=5.8148 b=5.9575 c=8.8370 alpha=71.18 beta=72.10 gamma=85.11
Space group P1 (No. 1)
One atom of each set of equivalent atoms:
Sr (0.0000, 0.0000, 0.0000) x1
Sr (0.1214, 0.1443, 0.5787) x1
Sr (0.5484, 0.4866, 0.9868) x1
Sr (0.7363, 0.7523, 0.5559) x1
Mg (0.5522, 0.4149, 0.4293) x1
Mn (0.0111, 0.4252, 0.2315) x1
Mn (0.1310, 0.5957, 0.7579) x1
Mn (0.3862, 0.8216, 0.2696) x1
Mn (0.5789, 0.0908, 0.7923) x1
O (0.0389, 0.4258, 0.9994) x1
O (0.2004, 0.7667, 0.5137) x1
O (0.3282, 0.4483, 0.2907) x1
O (0.3681, 0.8575, 0.7838) x1
O (0.3924, 0.3710, 0.6777) x1
O (0.4278, 0.0405, 0.0436) x1
O (0.7565, 0.7027, 0.2798) x1
O (0.7994, 0.1781, 0.4383) x1
O (0.8213, 0.3194, 0.7708) x1
O (0.8484, 0.8251, 0.8002) x1

Summary:
Spin magnetization ... 18.00 μB/cell

---

Q: Which of them is the most stable? A: *w*.